{"formula": "K2MgCo2O4", "functional": "GGA+U", "state": "relaxed", "lattice_angstrom": [[6.7096, -0.4575, 1.2699], [-5.8184, 3.3726, -1.2699], [-3.5741, 1.0927, 6.1231]], "species": ["O", "K", "O", "O", "Co", "Co", "Mg", "O", "K"], "frac_coords": [[0.1102, 0.8898, 0.9898], [0.7565, 0.2435, 0.2324], [0.5755, 0.4245, 0.4016], [0.8898, 0.1102, 0.0102], [0.0369, 0.9631, 0.1771], [0.9631, 0.0369, 0.8229], [0.0000, 0.0000, 0.5000], [0.4245, 0.5755, 0.5984], [0.2435, 0.7565, 0.7676]], "volume_a3_per_cell": 137, "de_polymorph_mev_per_atom": 285, "mass_density_g_cm3": 3.45}

***

{"formula": "FeAs2Pb4Cl4O8", "functional": "GGA+U", "state": "relaxed", "lattice_angstrom": [[-4.5818, -0.2239, 3.0549], [-0.8475, -6.2820, -1.8700], [6.7327, -1.0837, 7.7561]], "species": ["O", "O", "Pb", "Pb", "Pb", "O", "Cl", "Pb", "Cl", "O", "As", "O", "Cl", "Cl", "O", "As", "O", "Fe", "O"], "frac_coords": [[0.0231, 0.1330, 0.6394], [0.2729, 0.4530, 0.9145], [0.3066, 0.0971, 0.8366], [0.6934, 0.9029, 0.1634], [0.7572, 0.7975, 0.5464], [0.8301, 0.2898, 0.8655], [0.2731, 0.6361, 0.6158], [0.2428, 0.2025, 0.4536], [0.8494, 0.7923, 0.8693], [0.5361, 0.1365, 0.6431], [0.7943, 0.3157, 0.6933], [0.1699, 0.7102, 0.1345], [0.1506, 0.2077, 0.1307], [0.7269, 0.3639, 0.3842], [0.7271, 0.5470, 0.0855], [0.2057, 0.6843, 0.3067], [0.4639, 0.8635, 0.3569], [0.0000, 0.5000, 0.0000], [0.9769, 0.8670, 0.3606]], "volume_a3_per_cell": 366, "de_polymorph_mev_per_atom": 0, "mass_density_g_cm3": 5.92}

***

{"formula": "Li5NiOF5", "functional": "GGA+U", "state": "relaxed", "lattice_angstrom": [[-2.4291, 0.2596, -2.0832], [-17.4821, -12.9383, 21.2065], [-1.4959, 4.7289, 2.3427]], "species": ["Li", "Ni", "O", "F", "F", "O", "Li", "F", "Li", "F", "O", "F", "Li", "Li", "Li", "F", "Li", "F", "Ni", "F", "F", "Li", "Li", "Li", "F", "Li", "Li", "F", "Li", "F", "F", "Ni", "F", "F", "F", "Li", "Li", "F", "Li", "O", "F", "Li", "F", "Ni", "Li", "Li", "F", "Li"], "frac_coords": [[0.9155, 0.8314, 0.7520], [0.2465, 0.4955, 0.4201], [0.9864, 0.9792, 0.3458], [0.3656, 0.7313, 0.3022], [0.1969, 0.3936, 0.4713], [0.7383, 0.4781, 0.5937], [0.1652, 0.3310, 0.5023], [0.7857, 0.5701, 0.8825], [0.6652, 0.3310, 0.0021], [0.6969, 0.3936, 0.9712], [0.4914, 0.9795, 0.8435], [0.0364, 0.0715, 0.6297], [0.8343, 0.6688, 0.8330], [0.8749, 0.7500, 0.4574], [0.4573, 0.9136, 0.8749], [0.4470, 0.8947, 0.2203], [0.3749, 0.7500, 0.9578], [0.1562, 0.3125, 0.1760], [0.4945, 0.9965, 0.1737], [0.6562, 0.3124, 0.6757], [0.1152, 0.2307, 0.5518], [0.7063, 0.4124, 0.6267], [0.9562, 0.9133, 0.3772], [0.5845, 0.1687, 0.0832], [0.2857, 0.5701, 0.3825], [0.0445, 0.0862, 0.2870], [0.5443, 0.0871, 0.7865], [0.4064, 0.8127, 0.9259], [0.6248, 0.2496, 0.7073], [0.8656, 0.7314, 0.8019], [0.9472, 0.8940, 0.7208], [0.9988, 0.9956, 0.6720], [0.8254, 0.6503, 0.5066], [0.6154, 0.2313, 0.0527], [0.0750, 0.1491, 0.2541], [0.1249, 0.2499, 0.2082], [0.4156, 0.8317, 0.2514], [0.5754, 0.1500, 0.7592], [0.2062, 0.4124, 0.1267], [0.2383, 0.4781, 0.0936], [0.3254, 0.6503, 0.0066], [0.2946, 0.5880, 0.0384], [0.5350, 0.0662, 0.1306], [0.7465, 0.4955, 0.9202], [0.7946, 0.5880, 0.5384], [0.3343, 0.6688, 0.3331], [0.9064, 0.8128, 0.4250], [0.0839, 0.1676, 0.5831]], "volume_a3_per_cell": 532, "de_polymorph_mev_per_atom": 44, "mass_density_g_cm3": 2.55}

***

{"formula": "Li4V2SiGeO10", "functional": "GGA+U", "state": "relaxed", "lattice_angstrom": [[-0.0001, -0.0002, 4.5735], [6.5138, 6.5144, -0.0005], [-6.5137, 6.5143, -0.0002]], "species": ["Li", "O", "Li", "O", "O", "V", "O", "O", "Li", "V", "Li", "O", "O", "V", "Li", "Si", "O", "O", "O", "O", "O", "O", "O", "Ge", "Li", "Ge", "O", "Li", "O", "Si", "O", "V", "O", "Li", "O", "O"], "frac_coords": [[0.0000, 0.2551, 0.2500], [0.7143, 0.3979, 0.1480], [0.0000, 0.0000, 0.5051], [0.2857, 0.6021, 0.1479], [0.7358, 0.8925, 0.3575], [0.4104, 0.7500, 0.0000], [0.7143, 0.1021, 0.8520], [0.2859, 0.3979, 0.3521], [0.0000, 0.7449, 0.2500], [0.5895, 0.7500, 0.5000], [0.0000, 0.2449, 0.7500], [0.2859, 0.1021, 0.6479], [0.7359, 0.1075, 0.1425], [0.4105, 0.2500, 0.5000], [0.0000, 0.0000, 0.9949], [0.5000, 0.5000, 0.2500], [0.2222, 0.7500, 0.5000], [0.7358, 0.6075, 0.6425], [0.7359, 0.3925, 0.8575], [0.2641, 0.6075, 0.8575], [0.7778, 0.7500, 0.0000], [0.7778, 0.2500, 0.5000], [0.2642, 0.3925, 0.6425], [0.5000, 0.5000, 0.7500], [0.0000, 0.5000, 0.0051], [0.5000, 0.0000, 0.2500], [0.2642, 0.1075, 0.3575], [0.0000, 0.5000, 0.4949], [0.2221, 0.2500, 0.0000], [0.5000, 0.0000, 0.7500], [0.7142, 0.8979, 0.6479], [0.5894, 0.2500, 0.0000], [0.2641, 0.8925, 0.1425], [0.0000, 0.7551, 0.7500], [0.7142, 0.6021, 0.3520], [0.2857, 0.8979, 0.8520]], "volume_a3_per_cell": 388, "e_ij_max_c_m2": 1.34, "mass_density_g_cm3": 3.34}

***

{"formula": "Li2TiFeO4", "functional": "GGA+U", "state": "relaxed", "lattice_angstrom": [[0.0059, 0.4181, 5.2489], [1.9525, 5.6335, -0.4438], [-3.6497, 4.2716, -2.1302]], "species": ["Ti", "Li", "Li", "Li", "Fe", "O", "O", "O", "O", "O", "Li", "O", "Ti", "Fe", "O", "O"], "frac_coords": [[0.4760, 0.2540, 0.4923], [0.5015, 0.2526, 0.0008], [0.0000, 0.5000, 0.0000], [0.4985, 0.7474, 0.9992], [0.0001, 0.0000, 0.4999], [0.2764, 0.1223, 0.2670], [0.2761, 0.6115, 0.2670], [0.2552, 0.6430, 0.7143], [0.7239, 0.3885, 0.7330], [0.2805, 0.1314, 0.7379], [0.0000, 0.0000, 0.0000], [0.7449, 0.3570, 0.2857], [0.5241, 0.7460, 0.5077], [0.9996, 0.4999, 0.5001], [0.7196, 0.8686, 0.2620], [0.7237, 0.8777, 0.7330]], "volume_a3_per_cell": 154, "de_polymorph_mev_per_atom": 3, "mass_density_g_cm3": 3.91}

***

{"formula": "Li3V3P8O29", "functional": "GGA+U", "state": "relaxed", "lattice_angstrom": [[4.9032, 8.4646, 0.0000], [-4.9032, 8.4646, 0.0000], [0.0000, 0.1846, 14.3055]], "species": ["O", "O", "P", "O", "O", "O", "P", "O", "O", "O", "O", "V", "O", "O", "O", "O", "V", "O", "Li", "O", "O", "O", "O", "Li", "P", "O", "P", "O", "O", "O", "O", "O", "O", "O", "O", "P", "O", "O", "O", "V", "O", "Li", "P", "V", "O", "O", "P", "Li", "O", "O", "O", "Li", "O", "P", "P", "P", "O", "P", "O", "O", "O", "O", "O", "O", "P", "O", "O", "O", "O", "P", "O", "O", "O", "O", "P", "V", "P", "O", "O", "O", "O", "V", "O", "O", "P", "Li"], "frac_coords": [[0.7666, 0.0092, 0.0806], [0.6166, 0.4765, 0.6774], [0.2258, 0.0848, 0.8396], [0.6680, 0.8121, 0.8252], [0.4840, 0.3372, 0.1704], [0.8121, 0.6680, 0.3252], [0.9126, 0.3200, 0.1580], [0.5198, 0.3820, 0.8231], [0.5230, 0.6603, 0.8241], [0.9844, 0.2556, 0.0660], [0.3820, 0.5198, 0.3231], [0.9970, 0.5661, 0.2552], [0.3361, 0.3371, 0.5267], [0.6186, 0.9045, 0.1763], [0.6538, 0.2542, 0.3274], [0.7946, 0.2144, 0.7557], [0.0057, 0.4296, 0.7416], [0.2325, 0.9985, 0.9252], [0.6818, 0.2263, 0.0577], [0.8211, 0.5114, 0.8286], [0.3458, 0.9120, 0.1650], [0.7528, 0.2405, 0.9306], [0.9842, 0.7964, 0.7590], [0.2263, 0.6818, 0.5577], [0.9126, 0.7737, 0.6626], [0.5114, 0.8211, 0.3286], [0.3333, 0.3415, 0.1305], [0.9041, 0.4794, 0.1813], [0.4765, 0.6166, 0.1774], [0.0863, 0.6569, 0.3330], [0.0938, 0.3814, 0.3211], [0.2405, 0.7528, 0.4306], [0.4794, 0.9041, 0.6813], [0.3336, 0.1893, 0.1745], [0.0078, 0.2061, 0.2438], [0.6778, 0.0854, 0.3421], [0.7647, 0.2295, 0.5783], [0.7422, 0.0151, 0.4341], [0.3400, 0.7442, 0.6662], [0.5691, 0.4349, 0.2541], [0.0821, 0.2559, 0.8333], [0.0843, 0.6949, 0.0579], [0.2304, 0.6808, 0.3410], [0.4296, 0.0057, 0.2416], [0.0151, 0.7422, 0.9341], [0.2559, 0.0821, 0.3333], [0.7694, 0.3170, 0.6601], [0.6949, 0.0843, 0.5579], [0.9045, 0.6186, 0.6763], [0.7964, 0.9842, 0.2590], [0.5196, 0.0931, 0.3186], [0.3084, 0.9191, 0.4389], [0.9985, 0.2325, 0.4252], [0.3200, 0.9126, 0.6580], [0.0848, 0.2258, 0.3396], [0.0854, 0.6778, 0.8421], [0.2542, 0.6538, 0.8274], [0.3170, 0.7694, 0.1601], [0.0092, 0.7666, 0.5806], [0.2295, 0.7647, 0.0783], [0.1893, 0.3336, 0.6745], [0.7430, 0.9166, 0.6622], [0.2061, 0.0078, 0.7438], [0.3372, 0.4840, 0.6704], [0.6808, 0.2304, 0.8410], [0.9166, 0.7430, 0.1622], [0.6657, 0.6593, 0.9725], [0.3814, 0.0938, 0.8211], [0.2556, 0.9844, 0.5660], [0.3415, 0.3333, 0.6305], [0.6593, 0.6657, 0.4725], [0.9120, 0.3458, 0.6650], [0.3371, 0.3361, 0.0267], [0.2144, 0.7946, 0.2557], [0.6596, 0.6731, 0.3692], [0.4349, 0.5691, 0.7541], [0.6731, 0.6596, 0.8692], [0.6603, 0.5230, 0.3241], [0.4878, 0.1824, 0.6718], [0.6569, 0.0863, 0.8330], [0.0931, 0.5196, 0.8186], [0.5661, 0.9970, 0.7552], [0.1824, 0.4878, 0.1718], [0.7442, 0.3400, 0.1662], [0.7737, 0.9126, 0.1626], [0.9191, 0.3084, 0.9389]], "volume_a3_per_cell": 1187, "de_polymorph_mev_per_atom": 14, "mass_density_g_cm3": 2.48}

***

Calculated values (eV/atom) of energy of formation from the pure elements for the records, taken in order: -1.34; -1.27; -2.76; -2.57; -2.57; -2.52.